Here is a relaxed structure of KMnF3 from Materials Project. Energies are from PBE with a Hubbard U.

```
data_KMnF3
_space_group_name_H-M_alt 'P n m a'
_space_group_IT_number 62
_cell_length_a 6.022
_cell_length_b 8.497
_cell_length_c 6.012
_cell_angle_alpha 90.00
_cell_angle_beta 90.00
_cell_angle_gamma 90.00
loop_
_space_group_symop_operation_xyz
'x,y,z'
'-x,-y,-z'
'-x+1/2,-y,z+1/2'
'x+1/2,y,-z+1/2'
'x+1/2,-y+1/2,-z+1/2'
'-x+1/2,y+1/2,z+1/2'
'-x,y+1/2,-z'
'x,-y+1/2,z'
loop_
_atom_site_label
_atom_site_type_symbol
_atom_site_fract_x
_atom_site_fract_y
_atom_site_fract_z
_atom_site_occupancy
K1 K 0.011 0.250 0.007 1
Mn1 Mn 0.000 0.000 0.500 1
F1 F 0.006 0.750 0.455 1
F2 F 0.248 0.525 0.752 1
```

## Properties
**Energy relative to the elements**: -3.019 eV/atom
**Magnetization**: 20.0 μB/cell

Here is a relaxed structure of K2Mn2Mo3O12 from Materials Project. Energies are from PBE with a Hubbard U.

```
data_K2Mn2Mo3O12
_space_group_name_H-M_alt 'P c c a'
_space_group_IT_number 54
_cell_length_a 10.895
_cell_length_b 12.481
_cell_length_c 18.352
_cell_angle_alpha 90.00
_cell_angle_beta 90.00
_cell_angle_gamma 90.00
loop_
_space_group_symop_operation_xyz
'x,y,z'
'-x,-y,-z'
'-x+1/2,-y,z'
'x+1/2,y,-z'
'x+1/2,-y,-z+1/2'
'-x+1/2,y,z+1/2'
'-x,y,-z+1/2'
'x,-y,z+1/2'
loop_
_atom_site_label
_atom_site_type_symbol
_atom_site_fract_x
_atom_site_fract_y
_atom_site_fract_z
_atom_site_occupancy
K1 K 0.000 0.003 0.250 1
K2 K 0.225 0.349 0.038 1
K3 K 0.250 0.000 0.056 1
Mn1 Mn 0.000 0.333 0.250 1
Mn2 Mn 0.084 0.176 0.903 1
Mn3 Mn 0.250 0.500 0.214 1
Mo1 Mo 0.047 0.477 0.884 1
Mo2 Mo 0.076 0.143 0.413 1
Mo3 Mo 0.220 0.200 0.705 1
O1 O 0.036 0.183 0.021 1
O2 O 0.059 0.001 0.398 1
O3 O 0.061 0.216 0.328 1
O4 O 0.089 0.431 0.453 1
O5 O 0.107 0.199 0.633 1
O6 O 0.107 0.347 0.905 1
O7 O 0.108 0.474 0.297 1
O8 O 0.118 0.475 0.626 1
O9 O 0.149 0.169 0.791 1
O10 O 0.176 0.098 0.180 1
O11 O 0.197 0.327 0.202 1
O12 O 0.227 0.163 0.450 1
```

## Properties
**Energy relative to the elements**: -2.134 eV/atom
**Magnetization**: 80.0 μB/cell

Question: The lowest magnetization belongs to which entry?
Answer: KMnF3

Question: Look up the energy relative to the elements of the second one.
Answer: -2.134 eV/atom